# Na6Hf4Ti4Si7S5O48 (PBE, relaxed)
# energy relative to the elements: -2.914 eV per atom
data_Na6Hf4Ti4Si7S5O48
_space_group_name_H-M_alt 'P 1'
_space_group_IT_number 1
_cell_length_a 8.871
_cell_length_b 15.413
_cell_length_c 22.879
_cell_angle_alpha 89.97
_cell_angle_beta 89.89
_cell_angle_gamma 89.95
loop_
_space_group_symop_operation_xyz
'x,y,z'
loop_
_atom_site_label
_atom_site_fract_x
_atom_site_fract_y
_atom_site_fract_z
_atom_site_occupancy
Na1 0.000 0.000 0.000 1
Na2 0.000 0.659 0.833 1
Na3 0.003 0.316 0.678 1
Na4 0.008 0.996 0.510 1
Na5 0.012 0.316 0.172 1
Na6 0.137 0.492 0.757 1
Na7 0.148 0.830 0.423 1
Na8 0.364 0.329 0.920 1
Na9 0.376 0.992 0.258 1
Na10 0.492 0.494 0.005 1
Na11 0.501 0.822 0.667 1
Na12 0.508 0.159 0.337 1
Na13 0.508 0.819 0.179 1
Na14 0.510 0.499 0.502 1
Na15 0.511 0.161 0.834 1
Na16 0.654 0.997 0.751 1
Na17 0.855 0.495 0.256 1
Na18 0.999 0.660 0.341 1
Hf1 0.001 0.998 0.157 1
Hf2 0.007 0.325 0.527 1
Hf3 0.017 0.653 0.983 1
Hf4 0.023 0.323 0.024 1
Hf5 0.488 0.829 0.527 1
Hf6 0.498 0.150 0.485 1
Hf7 0.504 0.826 0.027 1
Hf8 0.507 0.493 0.150 1
Hf9 0.509 0.496 0.657 1
Hf10 0.524 0.496 0.360 1
Hf11 0.987 0.996 0.858 1
Hf12 0.995 0.995 0.647 1
Ti1 0.009 0.666 0.699 1
Ti2 0.012 0.993 0.351 1
Ti3 0.013 0.661 0.481 1
Ti4 0.014 0.671 0.196 1
Ti5 0.020 0.325 0.814 1
Ti6 0.493 0.825 0.316 1
Ti7 0.497 0.161 0.980 1
Ti8 0.497 0.492 0.849 1
Ti9 0.500 0.166 0.199 1
Ti10 0.501 0.160 0.691 1
Ti11 0.517 0.829 0.816 1
Ti12 0.991 0.326 0.318 1
Si1 0.144 0.799 0.589 1
Si2 0.147 0.143 0.257 1
Si3 0.148 0.179 0.920 1
Si4 0.149 0.849 0.255 1
Si5 0.156 0.471 0.917 1
Si6 0.216 0.161 0.591 1
Si7 0.296 0.660 0.091 1
Si8 0.355 0.973 0.417 1
Si9 0.363 0.643 0.756 1
Si10 0.364 0.681 0.422 1
Si11 0.365 0.343 0.754 1
Si12 0.366 0.299 0.089 1
Si13 0.645 0.971 0.923 1
Si14 0.646 0.014 0.590 1
Si15 0.647 0.347 0.256 1
Si16 0.653 0.642 0.253 1
Si17 0.713 0.992 0.257 1
Si18 0.797 0.492 0.757 1
Si19 0.856 0.143 0.754 1
Si20 0.866 0.848 0.756 1
Si21 0.867 0.472 0.423 1
S1 0.150 0.517 0.588 1
S2 0.211 0.492 0.255 1
S3 0.217 0.827 0.921 1
S4 0.293 0.326 0.420 1
S5 0.297 0.992 0.756 1
S6 0.360 0.017 0.088 1
S7 0.647 0.305 0.588 1
S8 0.647 0.681 0.921 1
S9 0.717 0.327 0.923 1
S10 0.723 0.658 0.588 1
S11 0.787 0.159 0.088 1
S12 0.794 0.827 0.421 1
S13 0.862 0.515 0.090 1
S14 0.863 0.181 0.421 1
S15 0.863 0.804 0.089 1
O1 0.072 0.101 0.198 1
O2 0.072 0.752 0.249 1
O3 0.072 0.894 0.594 1
O4 0.074 0.891 0.314 1
O5 0.075 0.567 0.924 1
O6 0.076 0.222 0.979 1
O7 0.076 0.749 0.530 1
O8 0.079 0.239 0.269 1
O9 0.082 0.425 0.861 1
O10 0.082 0.428 0.581 1
O11 0.087 0.552 0.642 1
O12 0.090 0.080 0.915 1
O13 0.102 0.736 0.646 1
O14 0.108 0.569 0.248 1
O15 0.110 0.248 0.585 1
O16 0.111 0.415 0.260 1
O17 0.115 0.570 0.535 1
O18 0.115 0.749 0.928 1
O19 0.118 0.074 0.595 1
O20 0.123 0.075 0.311 1
O21 0.124 0.412 0.976 1
O22 0.125 0.246 0.866 1
O23 0.125 0.905 0.917 1
O24 0.125 0.910 0.198 1
O25 0.169 0.979 0.411 1
O26 0.175 0.677 0.430 1
O27 0.176 0.671 0.146 1
O28 0.179 0.645 0.749 1
O29 0.181 0.310 0.086 1
O30 0.181 0.339 0.762 1
O31 0.188 0.649 0.033 1
O32 0.193 0.006 0.091 1
O33 0.196 0.313 0.368 1
O34 0.198 0.335 0.474 1
O35 0.205 0.003 0.809 1
O36 0.207 0.977 0.703 1
O37 0.303 0.507 0.308 1
O38 0.305 0.478 0.202 1
O39 0.311 0.811 0.869 1
O40 0.311 0.834 0.975 1
O41 0.317 0.506 0.590 1
O42 0.318 0.152 0.531 1
O43 0.328 0.803 0.586 1
O44 0.330 0.175 0.647 1
O45 0.331 0.145 0.249 1
O46 0.331 0.839 0.261 1
O47 0.336 0.176 0.930 1
O48 0.341 0.478 0.914 1
O49 0.381 0.911 0.475 1
O50 0.383 0.406 0.416 1
O51 0.385 0.410 0.699 1
O52 0.386 0.575 0.811 1
O53 0.388 0.745 0.365 1
O54 0.394 0.250 0.426 1
O55 0.395 0.070 0.035 1
O56 0.397 0.748 0.085 1
O57 0.399 0.069 0.751 1
O58 0.399 0.574 0.094 1
O59 0.400 0.914 0.762 1
O60 0.406 0.237 0.146 1
O61 0.420 0.581 0.414 1
O62 0.423 0.052 0.142 1
O63 0.427 0.924 0.360 1
O64 0.428 0.928 0.081 1
O65 0.431 0.739 0.771 1
O66 0.432 0.250 0.030 1
O67 0.433 0.069 0.421 1
O68 0.435 0.391 0.814 1
O69 0.438 0.724 0.479 1
O70 0.439 0.248 0.748 1
O71 0.439 0.601 0.698 1
O72 0.442 0.395 0.094 1
O73 0.569 0.388 0.313 1
O74 0.572 0.068 0.933 1
O75 0.572 0.918 0.586 1
O76 0.572 0.923 0.864 1
O77 0.575 0.596 0.197 1
O78 0.576 0.064 0.649 1
O79 0.579 0.393 0.593 1
O80 0.581 0.595 0.916 1
O81 0.581 0.722 0.975 1
O82 0.583 0.249 0.247 1
O83 0.584 0.737 0.265 1
O84 0.587 0.265 0.534 1
O85 0.602 0.076 0.245 1
O86 0.603 0.909 0.266 1
O87 0.610 0.910 0.979 1
O88 0.614 0.403 0.918 1
O89 0.615 0.248 0.928 1
O90 0.617 0.074 0.532 1
O91 0.618 0.736 0.869 1
O92 0.621 0.253 0.641 1
O93 0.622 0.579 0.592 1
O94 0.627 0.736 0.583 1
O95 0.637 0.411 0.199 1
O96 0.640 0.576 0.309 1
O97 0.672 0.147 0.746 1
O98 0.678 0.838 0.767 1
O99 0.682 0.509 0.813 1
O100 0.684 0.479 0.418 1
O101 0.694 0.475 0.699 1
O102 0.695 0.508 0.092 1
O103 0.695 0.812 0.084 1
O104 0.696 0.147 0.035 1
O105 0.696 0.178 0.425 1
O106 0.697 0.167 0.142 1
O107 0.702 0.813 0.369 1
O108 0.703 0.838 0.475 1
O109 0.808 0.338 0.977 1
O110 0.809 0.313 0.870 1
O111 0.814 0.665 0.641 1
O112 0.814 0.676 0.929 1
O113 0.815 0.314 0.583 1
O114 0.816 0.645 0.534 1
O115 0.817 0.976 0.199 1
O116 0.827 0.979 0.919 1
O117 0.828 0.007 0.592 1
O118 0.828 0.009 0.312 1
O119 0.834 0.339 0.266 1
O120 0.839 0.645 0.241 1
O121 0.874 0.078 0.811 1
O122 0.874 0.911 0.700 1
O123 0.883 0.239 0.083 1
O124 0.890 0.752 0.142 1
O125 0.891 0.081 0.092 1
O126 0.892 0.569 0.036 1
O127 0.896 0.748 0.427 1
O128 0.896 0.903 0.416 1
O129 0.897 0.236 0.368 1
O130 0.901 0.410 0.478 1
O131 0.907 0.409 0.766 1
O132 0.909 0.575 0.746 1
O133 0.922 0.761 0.035 1
O134 0.924 0.555 0.143 1
O135 0.927 0.427 0.083 1
O136 0.928 0.222 0.474 1
O137 0.928 0.749 0.748 1
O138 0.929 0.238 0.767 1
O139 0.930 0.095 0.415 1
O140 0.932 0.891 0.093 1
O141 0.937 0.423 0.364 1
O142 0.939 0.098 0.699 1
O143 0.940 0.569 0.431 1
O144 0.941 0.886 0.815 1